1.
The following is a PBE calculation of a relaxed Cu4Pd crystal, from Materials Project.

Properties
Energy of formation: -70 meV per atom
Space group: P4_2/m (84)
Crystal system: tetragonal
Calculated volume: 252.4 Å³/cell
Uncorrected energy: -4.39 eV per atom

a = 5.908 Å, b = 5.908 Å, c = 7.234 Å
α = 90.00°, β = 90.00°, γ = 90.00°
Element x y z (fractional)
1 Cu 0.000 0.000 0.000
2 Cu 0.000 0.000 0.500
3 Cu 0.097 0.297 0.249
4 Cu 0.097 0.297 0.751
5 Cu 0.192 0.604 0.000
6 Cu 0.297 0.903 0.251
7 Cu 0.297 0.903 0.749
8 Cu 0.396 0.192 0.500
9 Cu 0.500 0.500 0.250
10 Cu 0.500 0.500 0.750
11 Cu 0.604 0.808 0.500
12 Cu 0.703 0.097 0.251
13 Cu 0.703 0.097 0.749
14 Cu 0.808 0.396 0.000
15 Cu 0.903 0.703 0.249
16 Cu 0.903 0.703 0.751
17 Pd 0.208 0.602 0.500
18 Pd 0.398 0.208 0.000
19 Pd 0.602 0.792 0.000
20 Pd 0.792 0.398 0.500

2.
The following is a PBE calculation of a relaxed Ba7Sn3Se13 crystal, from Materials Project.

Properties
Magnetic moment: 0.02 μB/f.u.
Energy of formation: -1684 meV per atom
Space group: Pnma (62)
Crystal system: orthorhombic
Calculated volume: 3093.7 Å³/cell
Uncorrected energy: -4.50 eV per atom

a = 12.915 Å, b = 25.419 Å, c = 9.424 Å
α = 90.00°, β = 90.00°, γ = 90.00°
Element x y z (fractional)
1 Ba 0.024 0.159 0.087
2 Ba 0.024 0.341 0.087
3 Ba 0.146 0.750 0.398
4 Ba 0.157 0.157 0.603
5 Ba 0.157 0.343 0.603
6 Ba 0.187 0.530 0.620
7 Ba 0.187 0.970 0.620
8 Ba 0.313 0.030 0.120
9 Ba 0.313 0.470 0.120
10 Ba 0.343 0.657 0.103
11 Ba 0.343 0.843 0.103
12 Ba 0.354 0.250 0.898
13 Ba 0.476 0.659 0.587
14 Ba 0.476 0.841 0.587
15 Ba 0.524 0.159 0.413
16 Ba 0.524 0.341 0.413
17 Ba 0.646 0.750 0.102
18 Ba 0.657 0.157 0.897
19 Ba 0.657 0.343 0.897
20 Ba 0.687 0.530 0.880
21 Ba 0.687 0.970 0.880
22 Ba 0.813 0.030 0.380
23 Ba 0.813 0.470 0.380
24 Ba 0.843 0.657 0.397
25 Ba 0.843 0.843 0.397
26 Ba 0.854 0.250 0.602
27 Ba 0.976 0.659 0.913
28 Ba 0.976 0.841 0.913
29 Sn 0.049 0.552 0.199
30 Sn 0.049 0.948 0.199
31 Sn 0.243 0.250 0.306
32 Sn 0.257 0.750 0.806
33 Sn 0.451 0.052 0.699
34 Sn 0.451 0.448 0.699
35 Sn 0.549 0.552 0.301
36 Sn 0.549 0.948 0.301
37 Sn 0.743 0.250 0.194
38 Sn 0.757 0.750 0.694
39 Sn 0.951 0.052 0.801
40 Sn 0.951 0.448 0.801
41 Se 0.047 0.250 0.359
42 Se 0.079 0.038 0.311
43 Se 0.079 0.462 0.311
44 Se 0.092 0.621 0.391
45 Se 0.092 0.879 0.391
46 Se 0.104 0.250 0.831
47 Se 0.141 0.073 0.860
48 Se 0.141 0.427 0.860
49 Se 0.150 0.750 0.036
50 Se 0.166 0.573 0.987
51 Se 0.166 0.927 0.987
52 Se 0.216 0.668 0.667
53 Se 0.216 0.832 0.667
54 Se 0.284 0.168 0.167
55 Se 0.284 0.332 0.167
56 Se 0.334 0.073 0.487
57 Se 0.334 0.427 0.487
58 Se 0.350 0.250 0.536
59 Se 0.359 0.573 0.360
60 Se 0.359 0.927 0.360
61 Se 0.396 0.750 0.331
62 Se 0.408 0.121 0.891
63 Se 0.408 0.379 0.891
64 Se 0.421 0.538 0.811
65 Se 0.421 0.962 0.811
66 Se 0.453 0.750 0.859
67 Se 0.547 0.250 0.141
68 Se 0.579 0.038 0.189
69 Se 0.579 0.462 0.189
70 Se 0.592 0.621 0.109
71 Se 0.592 0.879 0.109
72 Se 0.604 0.250 0.669
73 Se 0.641 0.073 0.640
74 Se 0.641 0.427 0.640
75 Se 0.650 0.750 0.464
76 Se 0.666 0.573 0.513
77 Se 0.666 0.927 0.513
78 Se 0.716 0.668 0.833
79 Se 0.716 0.832 0.833
80 Se 0.784 0.168 0.333
81 Se 0.784 0.332 0.333
82 Se 0.834 0.073 0.013
83 Se 0.834 0.427 0.013
84 Se 0.850 0.250 0.964
85 Se 0.859 0.573 0.140
86 Se 0.859 0.927 0.140
87 Se 0.896 0.750 0.169
88 Se 0.908 0.121 0.609
89 Se 0.908 0.379 0.609
90 Se 0.921 0.538 0.689
91 Se 0.921 0.962 0.689
92 Se 0.953 0.750 0.641

3.
The following is a PBE calculation of a relaxed K2RbCeF6 crystal, from Materials Project.

Properties
Magnetic moment: 0.97 μB/f.u.
Energy of formation: -3406 meV per atom
Space group: Fm-3m (225)
Crystal system: cubic
Calculated volume: 242.4 Å³/cell
Uncorrected energy: -5.19 eV per atom

a = 6.998 Å, b = 6.998 Å, c = 6.998 Å
α = 60.00°, β = 60.00°, γ = 60.00°
Element x y z (fractional)
1 K 0.250 0.250 0.250
2 K 0.750 0.750 0.750
3 Rb 0.000 0.000 0.000
4 Ce 0.500 0.500 0.500
5 F 0.270 0.270 0.730
6 F 0.270 0.730 0.270
7 F 0.270 0.730 0.730
8 F 0.730 0.270 0.270
9 F 0.730 0.270 0.730
10 F 0.730 0.730 0.270

4.
The following is a PBE calculation of a relaxed Ti3H2O7 crystal, from Materials Project.

Properties
Magnetic moment: 0.00 μB/f.u.
Energy of formation: -2888 meV per atom
Space group: P1 (1)
Crystal system: triclinic
Calculated volume: 287.4 Å³/cell
Uncorrected energy: -7.91 eV per atom
E above lowest polymorph: 0.0225 eV per atom

a = 3.774 Å, b = 8.383 Å, c = 9.456 Å
α = 100.53°, β = 90.01°, γ = 102.12°
Element x y z (fractional)
1 Ti 0.000 0.000 0.000
2 Ti 0.029 0.069 0.696
3 Ti 0.324 0.631 0.340
4 Ti 0.357 0.697 0.036
5 Ti 0.395 0.776 0.726
6 Ti 0.962 0.922 0.309
7 H 0.095 0.350 0.584
8 H 0.171 0.271 0.287
9 H 0.193 0.422 0.753
10 H 0.445 0.353 0.422
11 O 0.020 0.042 0.482
12 O 0.044 0.092 0.194
13 O 0.079 0.161 0.892
14 O 0.125 0.317 0.676
15 O 0.247 0.374 0.367
16 O 0.274 0.535 0.145
17 O 0.312 0.606 0.843
18 O 0.338 0.654 0.554
19 O 0.430 0.852 0.277
20 O 0.467 0.931 0.973
21 O 0.504 0.011 0.683
22 O 0.852 0.683 0.354
23 O 0.890 0.767 0.065
24 O 0.926 0.844 0.760

5.
The following is a PBE calculation of a relaxed CaMgS2 crystal, from Materials Project.

Properties
Energy of formation: -2012 meV per atom
Space group: R-3m (166)
Crystal system: trigonal
Calculated volume: 82.1 Å³/cell
Uncorrected energy: -4.73 eV per atom

a = 6.692 Å, b = 6.692 Å, c = 6.692 Å
α = 33.67°, β = 33.67°, γ = 33.67°
Element x y z (fractional)
1 Ca 0.000 0.000 0.000
2 Mg 0.500 0.500 0.500
3 S 0.243 0.243 0.243
4 S 0.757 0.757 0.757

6.
The following is a PBE calculation of a relaxed NbP4O12 crystal, from Materials Project.

Properties
Magnetic moment: 1.00 μB/f.u.
Energy of formation: -2586 meV per atom
Space group: C2/c (15)
Crystal system: monoclinic
Calculated volume: 471.4 Å³/cell
Uncorrected energy: -7.46 eV per atom
E above lowest polymorph: 0.0204 eV per atom

a = 7.479 Å, b = 7.479 Å, c = 10.260 Å
α = 113.42°, β = 113.42°, γ = 69.89°
Element x y z (fractional)
1 Nb 0.000 0.500 0.000
2 Nb 0.500 0.000 0.500
3 P 0.180 0.189 0.695
4 P 0.189 0.180 0.195
5 P 0.227 0.759 0.531
6 P 0.241 0.773 0.969
7 P 0.759 0.227 0.031
8 P 0.773 0.241 0.469
9 P 0.811 0.820 0.805
10 P 0.820 0.811 0.305
11 O 0.005 0.725 0.427
12 O 0.035 0.832 0.839
13 O 0.158 0.302 0.848
14 O 0.168 0.965 0.661
15 O 0.169 0.695 0.055
16 O 0.186 0.368 0.171
17 O 0.275 0.995 0.073
18 O 0.302 0.158 0.348
19 O 0.305 0.831 0.445
20 O 0.343 0.592 0.590
21 O 0.368 0.186 0.671
22 O 0.408 0.657 0.910
23 O 0.592 0.343 0.090
24 O 0.632 0.814 0.329
25 O 0.657 0.408 0.410
26 O 0.695 0.169 0.555
27 O 0.698 0.842 0.652
28 O 0.725 0.005 0.927
29 O 0.814 0.632 0.829
30 O 0.831 0.305 0.945
31 O 0.832 0.035 0.339
32 O 0.842 0.698 0.152
33 O 0.965 0.168 0.161
34 O 0.995 0.275 0.573

7.
The following is a PBE calculation of a relaxed Hf4UC5 crystal, from Materials Project.

Properties
Magnetic moment: 0.00 μB/f.u.
Energy of formation: -769 meV per atom
Space group: R-3m (166)
Crystal system: trigonal
Calculated volume: 129.9 Å³/cell
Uncorrected energy: -10.50 eV per atom

a = 13.803 Å, b = 13.803 Å, c = 13.803 Å
α = 13.78°, β = 13.78°, γ = 13.78°
Element x y z (fractional)
1 Hf 0.096 0.096 0.096
2 Hf 0.301 0.301 0.301
3 Hf 0.699 0.699 0.699
4 Hf 0.904 0.904 0.904
5 U 0.500 0.500 0.500
6 C 0.000 0.000 0.000
7 C 0.203 0.203 0.203
8 C 0.398 0.398 0.398
9 C 0.602 0.602 0.602
10 C 0.797 0.797 0.797

8.
The following is a PBE calculation of a relaxed PrB2Ir3 crystal, from Materials Project.

Properties
Energy of formation: -621 meV per atom
Space group: P6/mmm (191)
Crystal system: hexagonal
Calculated volume: 84.4 Å³/cell
Uncorrected energy: -8.06 eV per atom

a = 5.538 Å, b = 5.538 Å, c = 3.177 Å
α = 90.00°, β = 90.00°, γ = 120.00°
Element x y z (fractional)
1 Pr 0.000 0.000 0.000
2 B 0.333 0.667 0.000
3 B 0.667 0.333 0.000
4 Ir 0.000 0.500 0.500
5 Ir 0.500 0.000 0.500
6 Ir 0.500 0.500 0.500